1.
{
  "formula": "Sm2InAg",
  "functional": "PBE-GGA",
  "state": "optimized geometry",
  "cell": [[0.0000, 3.7948, 3.7948], [3.7948, 0.0000, 3.7948], [3.7948, 3.7948, 0.0000]],
  "species": ["Sm", "Sm", "In", "Ag"],
  "fractional_positions": [[0.2500, 0.2500, 0.2500], [0.7500, 0.7500, 0.7500], [0.0000, 0.0000, 0.0000], [0.5000, 0.5000, 0.5000]],
  "space_group": "No. 225"
}

2.
{
  "formula": "Ba4Al",
  "functional": "PBE-GGA",
  "state": "optimized geometry",
  "cell": [[0.0000, 6.7650, 6.7650], [6.7650, 0.0000, 6.7650], [6.7650, 6.7650, 0.0000]],
  "species": ["Ba", "Ba", "Ba", "Ba", "Ba", "Ba", "Ba", "Ba", "Al", "Al"],
  "fractional_positions": [[0.2161, 0.7613, 0.7613], [0.2387, 0.2387, 0.2387], [0.2387, 0.2387, 0.7839], [0.2387, 0.7839, 0.2387], [0.7613, 0.2161, 0.7613], [0.7613, 0.7613, 0.2161], [0.7613, 0.7613, 0.7613], [0.7839, 0.2387, 0.2387], [0.3750, 0.3750, 0.3750], [0.6250, 0.6250, 0.6250]],
  "magmom_total_mub_per_fu": 1.161,
  "space_group": "No. 227"
}

Number 1: DFT formation energy -0.378 eV per atom, E_tot -4.1333 eV/atom. Number 2: DFT formation energy 0.303 eV per atom, E_tot -1.9809 eV/atom.